[1]
Sc7CBr12: relaxed, r²SCAN.

abc: 8.5309 8.5309 8.5309
angles: 107.65 107.65 107.65
Last column: nearest neighbours and their distance in Å.
Fractional coordinates of all 20 atoms:
Sc  0.0000  0.0000  0.0000  6 Br 2.66-2.77
Sc  0.2313  0.4300  0.4977  1 C 2.27
Sc  0.4300  0.4977  0.2313  1 C 2.27
Sc  0.4977  0.2313  0.4300  1 C 2.27
Sc  0.5594  0.8175  0.6254  1 C 2.30
Sc  0.6254  0.5594  0.8175  1 C 2.30
Sc  0.8175  0.6254  0.5594  1 C 2.30
C  0.5197  0.5197  0.5197  6 Sc 2.27-2.30
Br  0.0647  0.3637  0.1391  3 Sc 2.73-2.77
Br  0.1391  0.0647  0.3637  3 Sc 2.73-2.77
Br  0.2138  0.7500  0.5989  2 Sc 2.67-2.75
Br  0.3008  0.4459  0.8343  2 Sc 2.70-2.71
Br  0.3637  0.1391  0.0647  3 Sc 2.73-2.77
Br  0.4459  0.8343  0.3008  2 Sc 2.70-2.71
Br  0.5989  0.2138  0.7500  2 Sc 2.67-2.75
Br  0.6687  0.9092  0.9890  3 Sc 2.66-2.75
Br  0.7500  0.5989  0.2138  2 Sc 2.67-2.75
Br  0.8343  0.3008  0.4459  2 Sc 2.70-2.71
Br  0.9092  0.9890  0.6687  3 Sc 2.66-2.75
Br  0.9890  0.6687  0.9092  3 Sc 2.66-2.75

**Size of the total moment**: 0.050 μB/atom
**Energy**: -14.185 eV per atom


[2]
Nd2ZnSb4: relaxed, r²SCAN.

abc: 4.3772 4.3772 10.1374
angles: 90.00 90.00 90.00
Last column: nearest neighbours and their distance in Å.
Fractional coordinates of all 7 atoms:
Nd  0.0000  0.5000  0.2494  8 Sb 3.26-3.34, 2 Zn 3.35
Nd  0.5000  0.0000  0.7506  8 Sb 3.26-3.34, 2 Zn 3.35
Zn  0.5000  0.5000  0.5000  4 Sb 2.67
Sb  0.0000  0.0000  0.0000  4 Sb 3.10, 4 Nd 3.34
Sb  0.0000  0.5000  0.6501  2 Zn 2.67
Sb  0.5000  0.0000  0.3499  2 Zn 2.67
Sb  0.5000  0.5000  0.0000  4 Sb 3.10, 4 Nd 3.34

**Size of the total moment**: 0.000 μB/atom
**Energy**: -25.225 eV per atom


[3]
BaIrO3: relaxed, r²SCAN.

abc: 5.8327 5.8327 14.9743
angles: 101.59 101.59 59.54
Last column: nearest neighbours and their distance in Å.
Fractional coordinates of all 30 atoms:
Ba  0.1339  0.1339  0.4258  9 O 2.67-2.94
Ba  0.2698  0.2698  0.7491  9 O 2.74-3.01
Ba  0.3528  0.3528  0.0765  9 O 2.75-2.93
Ba  0.6472  0.6472  0.9235  9 O 2.75-2.93
Ba  0.7302  0.7302  0.2509  9 O 2.74-3.01
Ba  0.8661  0.8661  0.5742  9 O 2.67-2.94
Ir  0.0000  0.0000  0.0000  6 O 2.04
Ir  0.0382  0.0382  0.1743  6 O 2.02-2.05
Ir  0.4233  0.4233  0.3255  6 O 2.02-2.07
Ir  0.5000  0.5000  0.5000  6 O 2.04-2.05
Ir  0.5767  0.5767  0.6745  6 O 2.02-2.07
Ir  0.9618  0.9618  0.8257  6 O 2.02-2.05
O  0.1298  0.6646  0.9068  2 Ir 2.02-2.04
O  0.1418  0.1418  0.9230  2 Ir 2.04-2.05
O  0.1464  0.6266  0.4161  2 Ir 2.04
O  0.2061  0.7042  0.2388  2 Ir 2.02-2.03
O  0.2167  0.2167  0.2693  2 Ir 2.03-2.07
O  0.2958  0.7939  0.7612  2 Ir 2.02-2.03
O  0.3354  0.8702  0.0932  2 Ir 2.02-2.04
O  0.3734  0.8536  0.5839  2 Ir 2.04
O  0.3845  0.3845  0.5955  2 Ir 2.03-2.05
O  0.6155  0.6155  0.4045  2 Ir 2.03-2.05
O  0.6266  0.1464  0.4161  2 Ir 2.04
O  0.6646  0.1298  0.9068  2 Ir 2.02-2.04
O  0.7042  0.2061  0.2388  2 Ir 2.02-2.03
O  0.7833  0.7833  0.7307  2 Ir 2.03-2.07
O  0.7939  0.2958  0.7612  2 Ir 2.02-2.03
O  0.8536  0.3734  0.5839  2 Ir 2.04
O  0.8582  0.8582  0.0770  2 Ir 2.04-2.05
O  0.8702  0.3354  0.0932  2 Ir 2.02-2.04

**Size of the total moment**: 0.073 μB/atom
**Energy**: -21.122 eV per atom


[4]
FeNi3: relaxed, r²SCAN.

abc: 3.5104 3.5104 3.5104
angles: 90.00 90.00 90.00
Last column: nearest neighbours and their distance in Å.
Fractional coordinates of all 4 atoms:
Fe  0.0000  0.0000  0.0000  12 Ni 2.48
Ni  0.0000  0.5000  0.5000  4 Fe 2.48, 8 Ni 2.48
Ni  0.5000  0.0000  0.5000  4 Fe 2.48, 8 Ni 2.48
Ni  0.5000  0.5000  0.0000  4 Fe 2.48, 8 Ni 2.48

**Size of the total moment**: 1.319 μB/atom
**Energy**: -12.715 eV per atom


[5]
PrGa3Ni: relaxed, r²SCAN.

abc: 6.0080 6.0080 6.0080
angles: 139.55 139.55 58.54
Last column: nearest neighbours and their distance in Å.
Fractional coordinates of all 5 atoms:
Pr  0.0000  0.0000  0.0000  12 Ga 3.20-3.34, 4 Ni 3.34
Ga  0.3793  0.3793  0.0000  2 Ni 2.48, 3 Ga 2.48-2.53
Ga  0.6207  0.6207  0.0000  2 Ni 2.48, 3 Ga 2.48-2.53
Ga  0.7500  0.2500  0.5000  4 Ga 2.48
Ni  0.2500  0.7500  0.5000  4 Ga 2.48

**Size of the total moment**: 0.000 μB/atom
**Energy**: -15.727 eV per atom


[6]
Dy3Mg: relaxed, r²SCAN.

abc: 3.5623 3.5623 9.3030
angles: 90.00 90.00 90.00
Last column: nearest neighbours and their distance in Å.
Fractional coordinates of all 4 atoms:
Dy  0.0000  0.0000  0.0000  12 Dy 3.53-3.56
Dy  0.5000  0.5000  0.2655  4 Mg 3.33, 8 Dy 3.53-3.56
Dy  0.5000  0.5000  0.7345  4 Mg 3.33, 8 Dy 3.53-3.56
Mg  0.0000  0.0000  0.5000  8 Dy 3.33, 4 Mg 3.56

**Size of the total moment**: 0.000 μB/atom
**Energy**: -25.046 eV per atom


[7]
SmPt: relaxed, r²SCAN.

abc: 7.2442 4.5450 5.6460
angles: 90.00 90.00 90.00
Last column: nearest neighbours and their distance in Å.
Fractional coordinates of all 8 atoms:
Sm  0.1826  0.2500  0.1386  7 Pt 2.92-3.09
Sm  0.3174  0.7500  0.6386  7 Pt 2.92-3.09
Sm  0.6826  0.2500  0.3614  7 Pt 2.92-3.09
Sm  0.8174  0.7500  0.8614  7 Pt 2.92-3.09
Pt  0.0440  0.2500  0.6531  7 Sm 2.92-3.09, 2 Pt 2.93
Pt  0.4560  0.7500  0.1531  7 Sm 2.92-3.09, 2 Pt 2.93
Pt  0.5440  0.2500  0.8469  7 Sm 2.92-3.09, 2 Pt 2.93
Pt  0.9560  0.7500  0.3469  7 Sm 2.92-3.09, 2 Pt 2.93

**Size of the total moment**: 0.000 μB/atom
**Energy**: -41.927 eV per atom


[8]
TmNiBi: relaxed, r²SCAN.

abc: 4.5098 4.5098 4.5098
angles: 60.00 60.00 60.00
Last column: nearest neighbours and their distance in Å.
Fractional coordinates of all 3 atoms:
Tm  0.0000  0.0000  0.0000  4 Ni 2.76
Ni  0.2500  0.2500  0.2500  4 Bi 2.76, 4 Tm 2.76
Bi  0.5000  0.5000  0.5000  4 Ni 2.76

**Size of the total moment**: 0.000 μB/atom
**Energy**: -35.935 eV per atom


[9]
Mn8PbO16: relaxed, r²SCAN.

abc: 5.7788 7.0173 7.0592
angles: 87.94 78.30 77.99
Last column: nearest neighbours and their distance in Å.
Fractional coordinates of all 25 atoms:
Mn  0.0000  0.0000  0.0000  6 O 1.88-1.95
Mn  0.0913  0.3042  0.3318  6 O 1.88-1.93
Mn  0.2596  0.6701  0.2948  6 O 1.87-1.99
Mn  0.3514  0.9677  0.6345  6 O 1.87-1.98
Mn  0.4986  0.0073  0.9998  6 O 1.87-1.97
Mn  0.5903  0.3053  0.3403  6 O 1.87-1.97
Mn  0.7576  0.6696  0.3021  6 O 1.87-1.95
Mn  0.8487  0.9748  0.6352  6 O 1.87-1.94
Pb  0.9543  0.4860  0.8148  8 O 2.72-2.96
O  0.0695  0.5288  0.1649  3 Mn 1.93-1.99
O  0.0908  0.1145  0.5306  3 Mn 1.89-1.90
O  0.0933  0.8355  0.7690  3 Mn 1.94-1.98
O  0.2433  0.1358  0.8686  3 Mn 1.93-1.98
O  0.2591  0.8645  0.1061  3 Mn 1.87-1.89
O  0.2660  0.4444  0.4648  3 Mn 1.93-1.97
O  0.4038  0.1909  0.2017  3 Mn 1.87-1.90
O  0.4465  0.7842  0.4331  3 Mn 1.87-1.90
O  0.5795  0.5315  0.1732  3 Mn 1.92-1.94
O  0.5910  0.1110  0.5283  3 Mn 1.87-1.90
O  0.6039  0.8425  0.7673  3 Mn 1.92-1.96
O  0.7562  0.1366  0.8648  3 Mn 1.93-1.97
O  0.7582  0.8600  0.1041  3 Mn 1.89-1.90
O  0.7810  0.4437  0.4667  3 Mn 1.93-1.96
O  0.9024  0.1909  0.1984  3 Mn 1.88-1.90
O  0.9466  0.7832  0.4360  3 Mn 1.89-1.90

**Size of the total moment**: 1.040 μB/atom
**Energy**: -12.803 eV per atom


[10]
U3TiGe5: relaxed, r²SCAN.

abc: 8.5705 8.5705 5.7278
angles: 90.00 90.00 120.00
Last column: nearest neighbours and their distance in Å.
Fractional coordinates of all 18 atoms:
U  0.0000  0.3859  0.2500  9 Ge 2.92-3.06
U  0.0000  0.6141  0.7500  9 Ge 2.92-3.06
U  0.3859  0.0000  0.2500  9 Ge 2.92-3.06
U  0.3859  0.3859  0.7500  9 Ge 2.92-3.06
U  0.6141  0.0000  0.7500  9 Ge 2.92-3.06
U  0.6141  0.6141  0.2500  9 Ge 2.92-3.06
Ti  0.0000  0.0000  0.0000  6 Ge 2.66, 2 Ti 2.86
Ti  0.0000  0.0000  0.5000  6 Ge 2.66, 2 Ti 2.86
Ge  0.0000  0.2609  0.7500  2 Ti 2.66, 2 U 2.92
Ge  0.0000  0.7391  0.2500  2 Ti 2.66, 2 U 2.92
Ge  0.2609  0.0000  0.7500  2 Ti 2.66, 2 U 2.92
Ge  0.2609  0.2609  0.2500  2 Ti 2.66, 2 U 2.92
Ge  0.3333  0.6667  0.0000  2 Ge 2.86, 6 U 3.02
Ge  0.3333  0.6667  0.5000  2 Ge 2.86, 6 U 3.02
Ge  0.6667  0.3333  0.0000  2 Ge 2.86, 6 U 3.02
Ge  0.6667  0.3333  0.5000  2 Ge 2.86, 6 U 3.02
Ge  0.7391  0.0000  0.2500  2 Ti 2.66, 2 U 2.92
Ge  0.7391  0.7391  0.7500  2 Ti 2.66, 2 U 2.92

**Size of the total moment**: 0.689 μB/atom
**Energy**: -36.339 eV per atom


[11]
BaGaSi: relaxed, r²SCAN.

abc: 4.2378 4.2378 5.1821
angles: 90.00 90.00 120.00
Last column: nearest neighbours and their distance in Å.
Fractional coordinates of all 3 atoms:
Ba  0.0000  0.0000  0.0000  6 Si 3.56, 6 Ga 3.56
Ga  0.3333  0.6667  0.5000  3 Si 2.45
Si  0.6667  0.3333  0.5000  3 Ga 2.45

**Size of the total moment**: 0.000 μB/atom
**Energy**: -16.087 eV per atom


[12]
Ca3AlAs3: relaxed, r²SCAN.

abc: 12.2445 4.1999 13.4333
angles: 90.00 90.00 90.00
Last column: nearest neighbours and their distance in Å.
Fractional coordinates of all 28 atoms:
Ca  0.0667  0.2500  0.1067  6 As 2.96-3.30
Ca  0.1481  0.7500  0.4998  5 As 2.95-3.19
Ca  0.2284  0.7500  0.7874  5 As 2.91-3.04, 2 Al 3.15
Ca  0.2716  0.2500  0.2874  5 As 2.91-3.04, 2 Al 3.15
Ca  0.3519  0.2500  0.9998  5 As 2.95-3.19
Ca  0.4333  0.7500  0.6067  6 As 2.96-3.30
Ca  0.5667  0.2500  0.3933  6 As 2.96-3.30
Ca  0.6481  0.7500  0.0002  5 As 2.95-3.19
Ca  0.7284  0.7500  0.7126  5 As 2.91-3.04, 2 Al 3.15
Ca  0.7716  0.2500  0.2126  5 As 2.91-3.04, 2 Al 3.15
Ca  0.8519  0.2500  0.5002  5 As 2.95-3.19
Ca  0.9333  0.7500  0.8933  6 As 2.96-3.30
Al  0.0608  0.2500  0.7024  4 As 2.50-2.54
Al  0.4392  0.7500  0.2024  4 As 2.50-2.54
Al  0.5608  0.2500  0.7976  4 As 2.50-2.54
Al  0.9392  0.7500  0.2976  4 As 2.50-2.54
As  0.0404  0.2500  0.3508  2 Al 2.54
As  0.1031  0.2500  0.8846  1 Al 2.50
As  0.2461  0.2500  0.6251  1 Al 2.50
As  0.2539  0.7500  0.1251  1 Al 2.50
As  0.3969  0.7500  0.3846  1 Al 2.50
As  0.4596  0.7500  0.8508  2 Al 2.54
As  0.5404  0.2500  0.1492  2 Al 2.54
As  0.6031  0.2500  0.6154  1 Al 2.50
As  0.7461  0.2500  0.8749  1 Al 2.50
As  0.7539  0.7500  0.3749  1 Al 2.50
As  0.8969  0.7500  0.1154  1 Al 2.50
As  0.9596  0.7500  0.6492  2 Al 2.54

**Size of the total moment**: 0.000 μB/atom
**Energy**: -11.542 eV per atom


[13]
CaAs: relaxed, r²SCAN.

abc: 7.8659 7.8659 5.9535
angles: 90.00 90.00 120.00
Last column: nearest neighbours and their distance in Å.
Fractional coordinates of all 12 atoms:
Ca  0.0000  0.3139  0.0000  6 As 2.99-3.02
Ca  0.0000  0.6484  0.5000  6 As 3.03-3.07
Ca  0.3139  0.0000  0.0000  6 As 2.99-3.02
Ca  0.3516  0.3516  0.5000  6 As 3.03-3.07
Ca  0.6484  0.0000  0.5000  6 As 3.03-3.07
Ca  0.6861  0.6861  0.0000  6 As 2.99-3.02
As  0.0000  0.0000  0.2907  1 As 2.49
As  0.0000  0.0000  0.7093  1 As 2.49
As  0.3333  0.6667  0.2136  1 As 2.54
As  0.3333  0.6667  0.7864  1 As 2.54
As  0.6667  0.3333  0.2136  1 As 2.54
As  0.6667  0.3333  0.7864  1 As 2.54

**Size of the total moment**: 0.000 μB/atom
**Energy**: -12.147 eV per atom


[14]
CrPb2F7: relaxed, r²SCAN.

abc: 5.4528 11.1909 9.5144
angles: 90.00 91.18 90.00
Last column: nearest neighbours and their distance in Å.
Fractional coordinates of all 40 atoms:
Cr  0.1998  0.1330  0.2933  6 F 1.89-1.94
Cr  0.1998  0.3670  0.7933  6 F 1.89-1.94
Cr  0.8002  0.6330  0.2067  6 F 1.89-1.94
Cr  0.8002  0.8670  0.7067  6 F 1.89-1.94
Pb  0.2591  0.0620  0.8639  7 F 2.41-2.64
Pb  0.2591  0.4380  0.3639  7 F 2.41-2.64
Pb  0.2782  0.6869  0.9444  5 F 2.35-2.60
Pb  0.2782  0.8131  0.4444  5 F 2.35-2.60
Pb  0.7218  0.1869  0.5556  5 F 2.35-2.60
Pb  0.7218  0.3131  0.0556  5 F 2.35-2.60
Pb  0.7409  0.5620  0.6361  7 F 2.41-2.64
Pb  0.7409  0.9380  0.1361  7 F 2.41-2.64
F  0.0324  0.7370  0.7143  1 Cr 1.93
F  0.0324  0.7630  0.2143  1 Cr 1.93
F  0.0545  0.5324  0.1440  1 Cr 1.89
F  0.0545  0.9676  0.6440  1 Cr 1.89
F  0.0989  0.0944  0.1051  1 Cr 1.91
F  0.0989  0.4056  0.6051  1 Cr 1.91
F  0.2885  0.1756  0.4818  1 Cr 1.91
F  0.2885  0.3244  0.9818  1 Cr 1.91
F  0.3799  0.6134  0.4954  3 Pb 2.35-2.43
F  0.3799  0.8866  0.9954  3 Pb 2.35-2.43
F  0.4186  0.5016  0.8041  1 Cr 1.92
F  0.4186  0.9984  0.3041  1 Cr 1.92
F  0.4586  0.2421  0.2412  1 Cr 1.94
F  0.4586  0.2579  0.7412  1 Cr 1.94
F  0.5414  0.7421  0.2588  1 Cr 1.94
F  0.5414  0.7579  0.7588  1 Cr 1.94
F  0.5814  0.0016  0.6959  1 Cr 1.92
F  0.5814  0.4984  0.1959  1 Cr 1.92
F  0.6201  0.1134  0.0046  3 Pb 2.35-2.43
F  0.6201  0.3866  0.5046  3 Pb 2.35-2.43
F  0.7115  0.6756  0.0182  1 Cr 1.91
F  0.7115  0.8244  0.5182  1 Cr 1.91
F  0.9011  0.5944  0.3949  1 Cr 1.91
F  0.9011  0.9056  0.8949  1 Cr 1.91
F  0.9455  0.0324  0.3560  1 Cr 1.89
F  0.9455  0.4676  0.8560  1 Cr 1.89
F  0.9676  0.2370  0.7857  1 Cr 1.93
F  0.9676  0.2630  0.2857  1 Cr 1.93

**Size of the total moment**: 0.300 μB/atom
**Energy**: -17.731 eV per atom


[15]
ErFeRu: relaxed, r²SCAN.

abc: 5.2166 5.2166 5.2166
angles: 120.91 118.18 90.81
Last column: nearest neighbours and their distance in Å.
Fractional coordinates of all 6 atoms:
Er  0.3756  0.1256  0.2500  6 Fe 3.04-3.11, 6 Ru 3.04-3.05, 4 Er 3.15-3.25
Er  0.6244  0.8744  0.7500  6 Fe 3.04-3.11, 6 Ru 3.04-3.05, 4 Er 3.15-3.25
Fe  0.0000  0.0000  0.5000  2 Fe 2.57, 4 Ru 2.61
Fe  0.0000  0.5000  0.0000  2 Fe 2.57, 4 Ru 2.61
Ru  0.0000  0.5000  0.5000  4 Fe 2.61, 2 Ru 2.68
Ru  0.5000  0.5000  0.0000  4 Fe 2.61, 2 Ru 2.68

**Size of the total moment**: 0.902 μB/atom
**Energy**: -24.867 eV per atom


[16]
YSi2Rh2: relaxed, r²SCAN.

abc: 5.7409 5.7409 5.7409
angles: 138.78 138.78 59.70
Last column: nearest neighbours and their distance in Å.
Fractional coordinates of all 5 atoms:
Y  0.0000  0.0000  0.0000  8 Si 3.11, 8 Rh 3.21
Si  0.3776  0.3776  0.0000  4 Rh 2.39, 1 Si 2.44
Si  0.6224  0.6224  0.0000  4 Rh 2.39, 1 Si 2.44
Rh  0.2500  0.7500  0.5000  4 Si 2.39
Rh  0.7500  0.2500  0.5000  4 Si 2.39

**Size of the total moment**: 0.000 μB/atom
**Energy**: -18.422 eV per atom


[17]
YNiGe: relaxed, r²SCAN.

abc: 6.9218 4.2057 7.2528
angles: 90.00 90.00 90.00
Last column: nearest neighbours and their distance in Å.
Fractional coordinates of all 12 atoms:
Y  0.0076  0.2500  0.2072  6 Ni 2.90-3.17, 6 Ge 2.94-3.06
Y  0.4924  0.7500  0.7072  6 Ni 2.90-3.17, 6 Ge 2.94-3.06
Y  0.5076  0.2500  0.2928  6 Ni 2.90-3.17, 6 Ge 2.94-3.06
Y  0.9924  0.7500  0.7928  6 Ni 2.90-3.17, 6 Ge 2.94-3.06
Ni  0.1913  0.7500  0.4193  4 Ge 2.44-2.69
Ni  0.3087  0.2500  0.9193  4 Ge 2.44-2.69
Ni  0.6913  0.7500  0.0807  4 Ge 2.44-2.69
Ni  0.8087  0.2500  0.5807  4 Ge 2.44-2.69
Ge  0.1976  0.2500  0.5886  4 Ni 2.44-2.69
Ge  0.3024  0.7500  0.0886  4 Ni 2.44-2.69
Ge  0.6976  0.2500  0.9114  4 Ni 2.44-2.69
Ge  0.8024  0.7500  0.4114  4 Ni 2.44-2.69

**Size of the total moment**: 0.000 μB/atom
**Energy**: -16.222 eV per atom


[18]
Na4FeO4: relaxed, r²SCAN.

abc: 5.7009 5.7080 8.0891
angles: 72.61 88.46 69.63
Last column: nearest neighbours and their distance in Å.
Fractional coordinates of all 18 atoms:
Na  0.2101  0.0940  0.3676  5 O 2.31-2.50
Na  0.2313  0.7462  0.1658  4 O 2.30-2.38
Na  0.2603  0.2959  0.9828  4 O 2.28-2.35
Na  0.2774  0.4538  0.5679  5 O 2.29-2.41
Na  0.7226  0.5462  0.4321  5 O 2.29-2.41
Na  0.7397  0.7041  0.0172  4 O 2.28-2.35
Na  0.7687  0.2538  0.8342  4 O 2.30-2.38
Na  0.7899  0.9060  0.6324  5 O 2.31-2.50
Fe  0.2799  0.9106  0.7482  4 O 1.79-1.80
Fe  0.7201  0.0894  0.2518  4 O 1.79-1.80
O  0.0287  0.1903  0.6168  1 Fe 1.79
O  0.1005  0.7428  0.8899  1 Fe 1.80
O  0.4754  0.0701  0.7984  1 Fe 1.79
O  0.4946  0.3321  0.3294  1 Fe 1.79
O  0.5054  0.6679  0.6706  1 Fe 1.79
O  0.5246  0.9299  0.2016  1 Fe 1.79
O  0.8995  0.2572  0.1101  1 Fe 1.80
O  0.9713  0.8097  0.3832  1 Fe 1.79

**Size of the total moment**: 0.444 μB/atom
**Energy**: -7.498 eV per atom